Entry 1:
Below is a relaxed Al10Si2O19 crystal, with properties calculated at the PBE level.

abc: 7.556 2.939 15.975
angles: 90.00 90.70 90.00
Fractional positions:
Al1 0.000 0.000 0.000
Al2 0.000 0.000 0.482
Al3 0.091 0.000 0.301
Al4 0.188 0.000 0.735
Al5 0.320 0.500 0.900
Al6 0.365 0.500 0.415
Al7 0.596 0.000 0.019
Al8 0.697 0.000 0.320
Al9 0.844 0.500 0.161
Al10 0.850 0.500 0.646
Si1 0.486 0.000 0.586
Si2 0.690 0.000 0.842
O1 0.189 0.000 0.937
O2 0.207 0.500 0.795
O3 0.217 0.500 0.318
O4 0.229 0.000 0.462
O5 0.335 0.000 0.653
O6 0.478 0.000 0.856
O7 0.478 0.500 0.996
O8 0.486 0.500 0.533
O9 0.512 0.000 0.386
O10 0.684 0.000 0.630
O11 0.698 0.500 0.259
O12 0.715 0.000 0.110
O13 0.741 0.500 0.795
O14 0.785 0.000 0.936
O15 0.909 0.000 0.378
O16 0.936 0.500 0.538
O17 0.974 0.000 0.689
O18 0.976 0.000 0.206
O19 0.988 0.500 0.057

Calculated values
MP2020-corrected energy	-7.93	eV per atom
energy relative to the lowest polymorph listed for this composition	0.000	eV/atom

Entry 2:
Below is a relaxed SmNiSn crystal, with properties calculated at the PBE level.

abc: 7.417 4.580 7.603
angles: 90.00 90.00 90.00
Fractional positions:
Sm1 0.023 0.250 0.202
Sm2 0.477 0.750 0.702
Sm3 0.523 0.250 0.298
Sm4 0.977 0.750 0.798
Ni1 0.195 0.750 0.424
Ni2 0.305 0.250 0.924
Ni3 0.695 0.750 0.076
Ni4 0.805 0.250 0.576
Sn1 0.191 0.250 0.594
Sn2 0.309 0.750 0.094
Sn3 0.691 0.250 0.906
Sn4 0.809 0.750 0.406

Entry 3:
Below is a relaxed Ba6CaI14 crystal, with properties calculated at the PBE level.

abc: 13.249 13.249 19.271
angles: 90.00 90.00 39.88
Fractional positions:
Ba1 0.078 0.232 0.368
Ba2 0.195 0.805 0.820
Ba3 0.232 0.078 0.632
Ba4 0.268 0.422 0.132
Ba5 0.305 0.695 0.320
Ba6 0.422 0.268 0.868
Ba7 0.578 0.732 0.132
Ba8 0.695 0.305 0.680
Ba9 0.732 0.578 0.868
Ba10 0.768 0.922 0.368
Ba11 0.805 0.195 0.180
Ba12 0.922 0.768 0.632
Ca1 0.000 0.000 0.500
Ca2 0.500 0.500 0.000
I1 0.002 0.194 0.784
I2 0.073 0.427 0.250
I3 0.091 0.909 0.647
I4 0.141 0.679 0.460
I5 0.179 0.641 0.960
I6 0.194 0.002 0.216
I7 0.241 0.241 0.500
I8 0.259 0.259 0.000
I9 0.306 0.498 0.716
I10 0.321 0.859 0.460
I11 0.359 0.821 0.960
I12 0.409 0.591 0.147
I13 0.427 0.073 0.750
I14 0.498 0.306 0.284
I15 0.502 0.694 0.716
I16 0.573 0.927 0.250
I17 0.591 0.409 0.853
I18 0.641 0.179 0.040
I19 0.679 0.141 0.540
I20 0.694 0.502 0.284
I21 0.741 0.741 0.000
I22 0.759 0.759 0.500
I23 0.806 0.998 0.784
I24 0.821 0.359 0.040
I25 0.859 0.321 0.540
I26 0.909 0.091 0.353
I27 0.927 0.573 0.750
I28 0.998 0.806 0.216

Calculated values
MP2020-corrected energy	-3.62	eV per atom
energy relative to the lowest polymorph listed for this composition	0.000	eV/atom

Here are the calculated E_form numbers, same order: -3.3439, -0.6445, -1.9627 (eV/atom).